{
  "formula": "Li2Cu2S3O12",
  "functional": "GGA-PBE",
  "state": "optimized geometry",
  "energy_corrected_mp2020_ev_per_atom": -6.19,
  "m_tot_mub_per_fu": 2.00,
  "relative_energy_mev_per_atom": 0,
  "delta_e_f_kj_per_mol_fu": -3266,
  "crystal_system": "monoclinic",
  "spacegroup": "C2/c",
  "lattice": [[6.711, -4.190, 0.000], [6.711, 4.190, 0.000], [-4.609, 0.000, 8.012]],
  "species": ["Li", "Li", "Li", "Li", "Cu", "Cu", "Cu", "Cu", "S", "S", "S", "S", "S", "S", "O", "O", "O", "O", "O", "O", "O", "O", "O", "O", "O", "O", "O", "O", "O", "O", "O", "O", "O", "O", "O", "O", "O", "O"],
  "frac_coords": [[0.140, 0.325, 0.050], [0.325, 0.140, 0.550], [0.675, 0.860, 0.450], [0.860, 0.675, 0.950], [0.131, 0.637, 0.477], [0.363, 0.869, 0.023], [0.637, 0.131, 0.977], [0.869, 0.363, 0.523], [0.048, 0.952, 0.250], [0.248, 0.457, 0.827], [0.457, 0.248, 0.327], [0.543, 0.752, 0.673], [0.752, 0.543, 0.173], [0.952, 0.048, 0.750], [0.039, 0.146, 0.386], [0.085, 0.796, 0.315], [0.125, 0.440, 0.647], [0.131, 0.505, 0.935], [0.146, 0.039, 0.886], [0.204, 0.915, 0.185], [0.254, 0.395, 0.316], [0.346, 0.602, 0.879], [0.395, 0.254, 0.816], [0.398, 0.654, 0.621], [0.440, 0.125, 0.147], [0.495, 0.869, 0.565], [0.505, 0.131, 0.435], [0.560, 0.875, 0.853], [0.602, 0.346, 0.379], [0.605, 0.746, 0.184], [0.654, 0.398, 0.121], [0.746, 0.605, 0.684], [0.796, 0.085, 0.815], [0.854, 0.961, 0.114], [0.869, 0.495, 0.065], [0.875, 0.560, 0.353], [0.915, 0.204, 0.685], [0.961, 0.854, 0.614]]
}

***

{
  "formula": "Li5CuSO2",
  "functional": "GGA-PBE",
  "state": "optimized geometry",
  "energy_corrected_mp2020_ev_per_atom": -4.72,
  "m_tot_mub_per_fu": 0.00,
  "delta_e_f_kj_per_mol_fu": -1432,
  "crystal_system": "tetragonal",
  "spacegroup": "P4/mmm",
  "lattice": [[3.863, 0.000, 0.000], [0.000, 3.863, 0.000], [0.000, 0.000, 7.750]],
  "species": ["Li", "Li", "Li", "Li", "Li", "Cu", "S", "O", "O"],
  "frac_coords": [[0.000, 0.000, 0.000], [0.000, 0.500, 0.222], [0.000, 0.500, 0.778], [0.500, 0.000, 0.222], [0.500, 0.000, 0.778], [0.000, 0.000, 0.500], [0.500, 0.500, 0.000], [0.000, 0.000, 0.265], [0.000, 0.000, 0.735]]
}

***

{
  "formula": "Li2Cu2S3O12",
  "functional": "GGA-PBE",
  "state": "optimized geometry",
  "energy_corrected_mp2020_ev_per_atom": -6.18,
  "m_tot_mub_per_fu": 2.00,
  "relative_energy_mev_per_atom": 10,
  "delta_e_f_kj_per_mol_fu": -3248,
  "crystal_system": "orthorhombic",
  "spacegroup": "Pbcn",
  "lattice": [[12.779, 0.000, 0.000], [0.000, 8.588, 0.000], [0.000, 0.000, 8.593]],
  "species": ["Li", "Li", "Li", "Li", "Li", "Li", "Li", "Li", "Cu", "Cu", "Cu", "Cu", "Cu", "Cu", "Cu", "Cu", "S", "S", "S", "S", "S", "S", "S", "S", "S", "S", "S", "S", "O", "O", "O", "O", "O", "O", "O", "O", "O", "O", "O", "O", "O", "O", "O", "O", "O", "O", "O", "O", "O", "O", "O", "O", "O", "O", "O", "O", "O", "O", "O", "O", "O", "O", "O", "O", "O", "O", "O", "O", "O", "O", "O", "O", "O", "O", "O", "O"],
  "frac_coords": [[0.186, 0.222, 0.224], [0.186, 0.778, 0.724], [0.314, 0.278, 0.724], [0.314, 0.722, 0.224], [0.686, 0.278, 0.776], [0.686, 0.722, 0.276], [0.814, 0.222, 0.276], [0.814, 0.778, 0.776], [0.107, 0.250, 0.539], [0.107, 0.750, 0.039], [0.393, 0.250, 0.039], [0.393, 0.750, 0.539], [0.607, 0.250, 0.461], [0.607, 0.750, 0.961], [0.893, 0.250, 0.961], [0.893, 0.750, 0.461], [0.000, 0.457, 0.250], [0.000, 0.543, 0.750], [0.144, 0.100, 0.892], [0.144, 0.900, 0.392], [0.356, 0.400, 0.392], [0.356, 0.600, 0.892], [0.500, 0.043, 0.750], [0.500, 0.957, 0.250], [0.644, 0.400, 0.108], [0.644, 0.600, 0.608], [0.856, 0.100, 0.608], [0.856, 0.900, 0.108], [0.033, 0.134, 0.921], [0.033, 0.866, 0.421], [0.059, 0.452, 0.635], [0.059, 0.548, 0.135], [0.080, 0.354, 0.328], [0.080, 0.646, 0.828], [0.161, 0.073, 0.386], [0.161, 0.927, 0.886], [0.179, 0.165, 0.737], [0.179, 0.835, 0.237], [0.212, 0.167, 0.014], [0.212, 0.833, 0.514], [0.288, 0.333, 0.514], [0.288, 0.667, 0.014], [0.321, 0.335, 0.237], [0.321, 0.665, 0.737], [0.339, 0.427, 0.886], [0.339, 0.573, 0.386], [0.420, 0.146, 0.828], [0.420, 0.854, 0.328], [0.441, 0.048, 0.135], [0.441, 0.952, 0.635], [0.467, 0.366, 0.421], [0.467, 0.634, 0.921], [0.533, 0.366, 0.079], [0.533, 0.634, 0.579], [0.559, 0.048, 0.365], [0.559, 0.952, 0.865], [0.580, 0.146, 0.672], [0.580, 0.854, 0.172], [0.661, 0.427, 0.614], [0.661, 0.573, 0.114], [0.679, 0.335, 0.263], [0.679, 0.665, 0.763], [0.712, 0.333, 0.986], [0.712, 0.667, 0.486], [0.788, 0.167, 0.486], [0.788, 0.833, 0.986], [0.821, 0.165, 0.763], [0.821, 0.835, 0.263], [0.839, 0.073, 0.114], [0.839, 0.927, 0.614], [0.920, 0.354, 0.172], [0.920, 0.646, 0.672], [0.941, 0.452, 0.865], [0.941, 0.548, 0.365], [0.967, 0.134, 0.579], [0.967, 0.866, 0.079]]
}